Entry 1:
! Cu5P2O12, optimized geometry, DFT PBE-GGA; values from VASP
! * symmetry: P2_1/c (14)
! * ΔE to the lowest computed polymorph: 0.0 meV per atom
&SYSTEM
  ibrav = 0, nat = 38, ntyp = 3
/
ATOMIC_SPECIES
Cu 63.55 Cu.upf
P 30.97 P.upf
O 16.00 O.upf
ATOMIC_POSITIONS angstrom
Cu 5.165 0.221 4.463
Cu 0.000 0.000 0.000
Cu 4.458 4.752 7.700
Cu 9.623 0.499 5.689
Cu 5.872 0.279 1.226
Cu 0.707 4.531 3.237
Cu 2.448 0.410 5.642
Cu 7.613 4.841 7.747
Cu 7.882 4.621 3.284
Cu 2.717 0.189 1.179
P 2.014 2.751 7.913
P 7.179 2.500 5.476
P 8.316 2.279 1.013
P 3.151 2.530 3.450
O 3.906 3.427 4.466
O 9.071 1.824 8.923
O 6.424 1.603 4.460
O 1.259 3.206 0.003
O 2.962 3.709 7.046
O 8.127 1.542 6.343
O 7.368 1.321 1.880
O 2.203 3.489 2.583
O 1.175 1.867 7.020
O 6.340 3.384 6.369
O 9.155 3.163 1.906
O 3.990 1.646 2.557
O 3.050 1.929 8.740
O 8.215 3.322 4.649
O 7.280 3.101 0.186
O 2.115 1.709 4.277
O 0.817 4.176 5.098
O 5.982 1.075 8.291
O 9.513 0.854 3.828
O 4.348 3.955 0.635
O 4.267 0.919 5.967
O 9.432 4.332 7.421
O 6.063 4.111 2.959
O 0.898 0.698 1.504
CELL_PARAMETERS angstrom
10.330 0.000 0.000
0.000 4.589 0.000
0.000 0.441 8.926

Entry 2:
! CuP3O9, optimized geometry, DFT PBE-GGA; values from VASP
! * symmetry: P-1 (2)
! * ΔE to the lowest computed polymorph: 40.9 meV per atom
&SYSTEM
  ibrav = 0, nat = 52, ntyp = 3
/
ATOMIC_SPECIES
Cu 63.55 Cu.upf
P 30.97 P.upf
O 16.00 O.upf
ATOMIC_POSITIONS angstrom
Cu 4.564 5.602 2.112
Cu 1.449 3.730 7.068
Cu 1.846 1.485 0.890
Cu -1.268 -0.387 5.846
P -2.214 7.872 1.447
P -2.788 6.339 4.031
P 2.134 5.964 0.105
P -3.729 3.900 7.604
P -0.691 4.232 4.528
P 1.512 4.240 2.448
P 1.784 0.975 5.509
P 3.987 0.983 3.430
P 7.025 1.315 0.354
P 1.162 -0.749 7.853
P 6.084 -1.124 3.927
P 5.510 -2.657 6.511
O 4.386 9.135 0.196
O -2.028 7.154 2.878
O -0.800 7.369 0.829
O 1.538 7.439 0.072
O 4.120 7.297 2.888
O -1.562 5.592 4.735
O 6.274 7.171 0.726
O 3.598 6.097 0.487
O 1.252 5.309 1.255
O 0.341 4.792 3.419
O -4.111 3.479 6.243
O 2.973 5.203 6.396
O -0.002 3.986 5.859
O 5.919 5.305 3.440
O 2.856 4.474 3.026
O -1.510 3.086 4.085
O 5.267 4.052 1.216
O 1.068 2.866 1.979
O 2.227 2.349 5.979
O -1.971 1.163 6.742
O 4.806 2.129 3.872
O 0.439 0.741 4.932
O -2.623 -0.090 4.518
O 3.297 1.229 2.099
O 0.323 0.012 1.562
O 7.407 1.736 1.715
O 2.955 0.423 4.539
O 2.044 -0.094 6.703
O -0.302 -0.882 7.471
O -2.979 -1.956 7.232
O 4.858 -0.377 3.222
O -0.824 -2.082 5.070
O 1.758 -2.224 7.886
O 4.096 -2.154 7.129
O 5.324 -1.939 5.080
O -1.090 -3.920 7.762
CELL_PARAMETERS angstrom
9.641 0.000 0.000
-2.537 9.340 0.000
-3.809 -4.125 7.958

Entry 3:
! Cu9P8O32, optimized geometry, DFT PBE-GGA; values from VASP
! * symmetry: P-1 (2)
&SYSTEM
  ibrav = 0, nat = 49, ntyp = 3
/
ATOMIC_SPECIES
Cu 63.55 Cu.upf
P 30.97 P.upf
O 16.00 O.upf
ATOMIC_POSITIONS angstrom
Cu 6.149 2.093 0.559
Cu 3.361 5.904 3.587
Cu 0.664 4.141 3.620
Cu -2.030 2.324 4.068
Cu 4.067 0.508 4.517
Cu 0.000 0.000 0.000
Cu 1.371 -1.255 4.550
Cu -1.417 2.555 7.578
Cu 3.120 4.296 0.000
P 3.995 -2.224 5.800
P 4.404 1.814 7.311
P 0.497 2.081 5.969
P -2.963 5.010 5.283
P 7.694 -0.362 2.854
P 4.235 2.567 2.168
P 0.328 2.834 0.825
P 0.736 6.872 2.336
O -1.925 4.207 4.464
O 1.219 3.995 0.323
O 2.267 6.728 2.271
O 4.827 6.715 2.796
O 4.350 1.663 0.897
O 3.464 3.871 1.854
O 1.029 1.476 0.495
O 5.817 2.823 2.342
O 0.151 7.480 1.054
O 4.580 -2.831 7.082
O 7.761 2.908 0.080
O 3.513 0.653 7.814
O 2.465 -2.080 5.866
O -0.095 -2.067 5.341
O 0.381 2.986 7.240
O 1.267 0.777 6.283
O 3.703 3.172 7.642
O -1.086 1.825 5.794
O 4.764 -0.919 5.489
O -0.033 5.567 2.648
O 4.651 1.777 5.767
O 0.365 -0.217 3.359
O 2.936 -0.696 3.524
O 1.141 2.702 4.745
O -2.905 4.355 6.706
O 6.656 0.441 3.673
O 3.591 1.946 3.392
O 1.795 5.345 4.613
O 4.366 4.865 4.778
O 0.080 2.872 2.370
O 7.636 0.294 1.431
O -3.029 1.740 8.056
CELL_PARAMETERS angstrom
8.791 0.000 0.000
-2.552 8.591 0.000
-1.508 -3.943 8.137

E, respectively: -5.82; -6.67; -6.29 eV/atom.
Formation energy, respectively: -1.480; -2.154; -1.868 eV per atom.